Record 1
{
  "formula": "Cu2AsO5",
  "functional": "meta-GGA r2SCAN",
  "state": "optimized geometry",
  "delta_e_f_ev_per_fu": -7.579,
  "sg": "P2_1/c",
  "crystal_system": "monoclinic",
  "de_polymorph_kj_per_mol_atoms": 0.0,
  "mass_density_g_cm3": 4.73,
  "lattice_angstrom": [[5.7708, 0.0000, 0.0000], [0.0000, 8.5544, 0.0000], [-5.6995, 0.0000, 8.0289]],
  "species": ["Cu", "Cu", "Cu", "Cu", "Cu", "Cu", "Cu", "Cu", "As", "As", "As", "As", "O", "O", "O", "O", "O", "O", "O", "O", "O", "O", "O", "O", "O", "O", "O", "O", "O", "O", "O", "O"],
  "frac_coords": [[0.1775, 0.1088, 0.1466], [0.1775, 0.3912, 0.6466], [0.2516, 0.5014, 0.9997], [0.2516, 0.9986, 0.4997], [0.7484, 0.0014, 0.5003], [0.7484, 0.4986, 0.0003], [0.8225, 0.6088, 0.3534], [0.8225, 0.8912, 0.8534], [0.2262, 0.7472, 0.7409], [0.2262, 0.7528, 0.2409], [0.7738, 0.2472, 0.7591], [0.7738, 0.2528, 0.2591], [0.0276, 0.6043, 0.5936], [0.0276, 0.8957, 0.0936], [0.1325, 0.5751, 0.1381], [0.1325, 0.9249, 0.6381], [0.1391, 0.7449, 0.8760], [0.1391, 0.7551, 0.3760], [0.3728, 0.0674, 0.3689], [0.3728, 0.4326, 0.8689], [0.4209, 0.2219, 0.6694], [0.4209, 0.2781, 0.1694], [0.5791, 0.7219, 0.8306], [0.5791, 0.7781, 0.3306], [0.6272, 0.5674, 0.1311], [0.6272, 0.9326, 0.6311], [0.8609, 0.2449, 0.6240], [0.8609, 0.2551, 0.1240], [0.8675, 0.0751, 0.3619], [0.8675, 0.4249, 0.8619], [0.9724, 0.1043, 0.9064], [0.9724, 0.3957, 0.4064]]
}

Record 2
{
  "formula": "Pm2NiRh",
  "functional": "meta-GGA r2SCAN",
  "state": "optimized geometry",
  "delta_e_f_ev_per_fu": -1.956,
  "sg": "Fm-3m",
  "crystal_system": "cubic",
  "mass_density_g_cm3": 8.93,
  "lattice_angstrom": [[0.0000, 3.4756, 3.4756], [3.4756, 0.0000, 3.4756], [3.4756, 3.4756, 0.0000]],
  "species": ["Pm", "Pm", "Ni", "Rh"],
  "frac_coords": [[0.2500, 0.2500, 0.2500], [0.7500, 0.7500, 0.7500], [0.0000, 0.0000, 0.0000], [0.5000, 0.5000, 0.5000]]
}

Record 3
{
  "formula": "CoPO4",
  "functional": "meta-GGA r2SCAN",
  "state": "optimized geometry",
  "delta_e_f_ev_per_fu": -11.143,
  "sg": "Pna2_1",
  "crystal_system": "orthorhombic",
  "mass_density_g_cm3": 2.93,
  "lattice_angstrom": [[10.3238, 0.0000, 0.0000], [0.0000, 5.1356, 0.0000], [0.0000, 0.0000, 6.5830]],
  "species": ["Co", "Co", "Co", "Co", "P", "P", "P", "P", "O", "O", "O", "O", "O", "O", "O", "O", "O", "O", "O", "O", "O", "O", "O", "O"],
  "frac_coords": [[0.1557, 0.1741, 0.0000], [0.3443, 0.6741, 0.5000], [0.6557, 0.3259, 0.0000], [0.8443, 0.8259, 0.5000], [0.0940, 0.6793, 0.2502], [0.4060, 0.1793, 0.7502], [0.5940, 0.8207, 0.2502], [0.9060, 0.3207, 0.7502], [0.0480, 0.2499, 0.7855], [0.1046, 0.3856, 0.2100], [0.1438, 0.8254, 0.0623], [0.1727, 0.7447, 0.4414], [0.3273, 0.2447, 0.9414], [0.3562, 0.3254, 0.5623], [0.3954, 0.8856, 0.7100], [0.4520, 0.7499, 0.2855], [0.5480, 0.2501, 0.7855], [0.6046, 0.1144, 0.2100], [0.6438, 0.6746, 0.0623], [0.6727, 0.7553, 0.4414], [0.8273, 0.2553, 0.9414], [0.8562, 0.1746, 0.5623], [0.8954, 0.6144, 0.7100], [0.9520, 0.7501, 0.2855]]
}

Record 4
{
  "formula": "CsFe2P2",
  "functional": "meta-GGA r2SCAN",
  "state": "optimized geometry",
  "delta_e_f_ev_per_fu": -1.871,
  "sg": "I4/mmm",
  "crystal_system": "tetragonal",
  "mass_density_g_cm3": 4.99,
  "lattice_angstrom": [[-1.8913, 1.8913, 7.1274], [1.8913, -1.8913, 7.1274], [1.8913, 1.8913, -7.1274]],
  "species": ["Cs", "Fe", "Fe", "P", "P"],
  "frac_coords": [[0.0000, 0.0000, 0.0000], [0.2500, 0.7500, 0.5000], [0.7500, 0.2500, 0.5000], [0.3252, 0.3252, 0.0000], [0.6748, 0.6748, 0.0000]]
}

Record 5
{
  "formula": "CoPO4",
  "functional": "meta-GGA r2SCAN",
  "state": "optimized geometry",
  "delta_e_f_ev_per_fu": -11.118,
  "sg": "Pc",
  "crystal_system": "monoclinic",
  "mass_density_g_cm3": 2.97,
  "lattice_angstrom": [[8.2542, 0.0000, 0.0000], [0.0000, 5.1267, 0.0000], [-2.5350, 0.0000, 8.1468]],
  "species": ["Co", "Co", "Co", "Co", "P", "P", "P", "P", "O", "O", "O", "O", "O", "O", "O", "O", "O", "O", "O", "O", "O", "O", "O", "O"],
  "frac_coords": [[0.0000, 0.1888, 0.0000], [0.0000, 0.8112, 0.5000], [0.4979, 0.3034, 0.6610], [0.4979, 0.6966, 0.1610], [0.1270, 0.3098, 0.3702], [0.1270, 0.6902, 0.8702], [0.6297, 0.1897, 0.0379], [0.6297, 0.8103, 0.5379], [0.0651, 0.4084, 0.8563], [0.0651, 0.5916, 0.3563], [0.1530, 0.2270, 0.2071], [0.1530, 0.7730, 0.7071], [0.2926, 0.2759, 0.5070], [0.2926, 0.7241, 0.0070], [0.4985, 0.2016, 0.8666], [0.4985, 0.7984, 0.3666], [0.5644, 0.3529, 0.1567], [0.5644, 0.6471, 0.6567], [0.6528, 0.0923, 0.5999], [0.6528, 0.9077, 0.0999], [0.7987, 0.2983, 0.0260], [0.7987, 0.7017, 0.5260], [0.9911, 0.1340, 0.4071], [0.9911, 0.8660, 0.9071]]
}

Record 6
{
  "formula": "EuCdPd",
  "functional": "meta-GGA r2SCAN",
  "state": "optimized geometry",
  "delta_e_f_ev_per_fu": -1.938,
  "sg": "Pnma",
  "crystal_system": "orthorhombic",
  "mass_density_g_cm3": 8.72,
  "lattice_angstrom": [[7.4441, 0.0000, 0.0000], [0.0000, 4.3842, 0.0000], [0.0000, 0.0000, 8.6578]],
  "species": ["Eu", "Eu", "Eu", "Eu", "Cd", "Cd", "Cd", "Cd", "Pd", "Pd", "Pd", "Pd"],
  "frac_coords": [[0.0355, 0.2500, 0.1812], [0.4645, 0.7500, 0.6812], [0.5355, 0.2500, 0.3188], [0.9645, 0.7500, 0.8188], [0.1411, 0.2500, 0.5622], [0.3589, 0.7500, 0.0622], [0.6411, 0.2500, 0.9378], [0.8589, 0.7500, 0.4378], [0.2385, 0.7500, 0.3732], [0.2615, 0.2500, 0.8732], [0.7385, 0.7500, 0.1268], [0.7615, 0.2500, 0.6268]]
}

Record 7
{
  "formula": "ZrTiB4",
  "functional": "meta-GGA r2SCAN",
  "state": "optimized geometry",
  "delta_e_f_ev_per_fu": -6.382,
  "sg": "P6/mmm",
  "crystal_system": "hexagonal",
  "mass_density_g_cm3": 5.36,
  "lattice_angstrom": [[3.0971, 0.0000, 0.0000], [-1.5486, 2.6822, 0.0000], [0.0000, 0.0000, 6.7945]],
  "species": ["Zr", "Ti", "B", "B", "B", "B"],
  "frac_coords": [[0.0000, 0.0000, 0.0000], [0.0000, 0.0000, 0.5000], [0.3333, 0.6667, 0.2664], [0.3333, 0.6667, 0.7336], [0.6667, 0.3333, 0.2664], [0.6667, 0.3333, 0.7336]]
}

Record 8
{
  "formula": "Rb6Si10O23",
  "functional": "meta-GGA r2SCAN",
  "state": "optimized geometry",
  "delta_e_f_ev_per_fu": -110.734,
  "sg": "Amm2",
  "crystal_system": "orthorhombic",
  "mass_density_g_cm3": 3.15,
  "lattice_angstrom": [[8.0454, 0.0000, 0.0000], [0.0000, 8.1605, 4.6681], [0.0000, -8.1605, 4.6681]],
  "species": ["Rb", "Rb", "Rb", "Rb", "Rb", "Rb", "Si", "Si", "Si", "Si", "Si", "Si", "Si", "Si", "Si", "Si", "O", "O", "O", "O", "O", "O", "O", "O", "O", "O", "O", "O", "O", "O", "O", "O", "O", "O", "O", "O", "O", "O", "O"],
  "frac_coords": [[0.0000, 0.0000, 0.0000], [0.0000, 0.5239, 0.7615], [0.0000, 0.7615, 0.5239], [0.5000, 0.5082, 0.7507], [0.5000, 0.7507, 0.5082], [0.5000, 0.9942, 0.9942], [0.1882, 0.0956, 0.4419], [0.1882, 0.4419, 0.0956], [0.2998, 0.3510, 0.3510], [0.3092, 0.1621, 0.7718], [0.3092, 0.7718, 0.1621], [0.6908, 0.1621, 0.7718], [0.6908, 0.7718, 0.1621], [0.7002, 0.3510, 0.3510], [0.8118, 0.0956, 0.4419], [0.8118, 0.4419, 0.0956], [0.0000, 0.1427, 0.5138], [0.0000, 0.5138, 0.1427], [0.1997, 0.3278, 0.8975], [0.1997, 0.8975, 0.3278], [0.2296, 0.1763, 0.3303], [0.2296, 0.3303, 0.1763], [0.2503, 0.5136, 0.5136], [0.2503, 0.7532, 0.9943], [0.2503, 0.9943, 0.7532], [0.3099, 0.1691, 0.5995], [0.3099, 0.5995, 0.1691], [0.5000, 0.2151, 0.8419], [0.5000, 0.3217, 0.3217], [0.5000, 0.8419, 0.2151], [0.6901, 0.1691, 0.5995], [0.6901, 0.5995, 0.1691], [0.7497, 0.5136, 0.5136], [0.7497, 0.7532, 0.9943], [0.7497, 0.9943, 0.7532], [0.7704, 0.1763, 0.3303], [0.7704, 0.3303, 0.1763], [0.8003, 0.3278, 0.8975], [0.8003, 0.8975, 0.3278]]
}

Record 9
{
  "formula": "LaSb2Au",
  "functional": "meta-GGA r2SCAN",
  "state": "optimized geometry",
  "delta_e_f_ev_per_fu": -3.479,
  "sg": "P4/nmm",
  "crystal_system": "tetragonal",
  "mass_density_g_cm3": 9.09,
  "lattice_angstrom": [[4.4547, 0.0000, 0.0000], [0.0000, 4.4547, 0.0000], [0.0000, 0.0000, 10.6721]],
  "species": ["La", "La", "Sb", "Sb", "Sb", "Sb", "Au", "Au"],
  "frac_coords": [[0.2500, 0.2500, 0.2443], [0.7500, 0.7500, 0.7557], [0.2500, 0.2500, 0.6665], [0.2500, 0.7500, 0.0000], [0.7500, 0.2500, 0.0000], [0.7500, 0.7500, 0.3335], [0.2500, 0.7500, 0.5000], [0.7500, 0.2500, 0.5000]]
}

Record 10
{
  "formula": "Ho3Er",
  "functional": "meta-GGA r2SCAN",
  "state": "optimized geometry",
  "delta_e_f_ev_per_fu": 0.202,
  "sg": "I4/mmm",
  "crystal_system": "tetragonal",
  "de_polymorph_kj_per_mol_atoms": 4.3,
  "mass_density_g_cm3": 8.89,
  "lattice_angstrom": [[-2.4924, 2.4924, 4.9770], [2.4924, -2.4924, 4.9770], [2.4924, 2.4924, -4.9770]],
  "species": ["Ho", "Ho", "Ho", "Er"],
  "frac_coords": [[0.0000, 0.0000, 0.0000], [0.2500, 0.7500, 0.5000], [0.7500, 0.2500, 0.5000], [0.5000, 0.5000, 0.0000]]
}

Record 11
{
  "formula": "Pm3Gd",
  "functional": "meta-GGA r2SCAN",
  "state": "optimized geometry",
  "delta_e_f_ev_per_fu": 0.179,
  "sg": "I4/mmm",
  "crystal_system": "tetragonal",
  "mass_density_g_cm3": 7.20,
  "lattice_angstrom": [[-2.5742, 2.5742, 5.1556], [2.5742, -2.5742, 5.1556], [2.5742, 2.5742, -5.1556]],
  "species": ["Pm", "Pm", "Pm", "Gd"],
  "frac_coords": [[0.0000, 0.0000, 0.0000], [0.2500, 0.7500, 0.5000], [0.7500, 0.2500, 0.5000], [0.5000, 0.5000, 0.0000]]
}

Record 12
{
  "formula": "NdGaPt",
  "functional": "meta-GGA r2SCAN",
  "state": "optimized geometry",
  "delta_e_f_ev_per_fu": -3.417,
  "sg": "Pnma",
  "crystal_system": "orthorhombic",
  "mass_density_g_cm3": 10.92,
  "lattice_angstrom": [[7.1801, 0.0000, 0.0000], [0.0000, 4.4983, 0.0000], [0.0000, 0.0000, 7.7061]],
  "species": ["Nd", "Nd", "Nd", "Nd", "Ga", "Ga", "Ga", "Ga", "Pt", "Pt", "Pt", "Pt"],
  "frac_coords": [[0.0183, 0.2500, 0.1970], [0.4817, 0.7500, 0.6970], [0.5183, 0.2500, 0.3030], [0.9817, 0.7500, 0.8030], [0.1695, 0.2500, 0.5770], [0.3305, 0.7500, 0.0770], [0.6695, 0.2500, 0.9230], [0.8305, 0.7500, 0.4230], [0.2136, 0.7500, 0.4034], [0.2864, 0.2500, 0.9034], [0.7136, 0.7500, 0.0966], [0.7864, 0.2500, 0.5966]]
}

Record 13
{
  "formula": "MnTlF3",
  "functional": "meta-GGA r2SCAN",
  "state": "optimized geometry",
  "delta_e_f_ev_per_fu": -12.777,
  "sg": "Cm",
  "crystal_system": "monoclinic",
  "mass_density_g_cm3": 6.91,
  "lattice_angstrom": [[2.9953, -2.9951, 0.0000], [2.9953, 2.9951, 0.0000], [-0.0019, 0.0000, 4.2337]],
  "species": ["Mn", "Tl", "F", "F", "F"],
  "frac_coords": [[0.0000, 0.0000, 0.0000], [0.4977, 0.4977, 0.5026], [0.9998, 0.5003, 0.9983], [0.0030, 0.0030, 0.4996], [0.5003, 0.9998, 0.9983]]
}

Record 14
{
  "formula": "SmGePd2",
  "functional": "meta-GGA r2SCAN",
  "state": "optimized geometry",
  "delta_e_f_ev_per_fu": -3.711,
  "sg": "Pnma",
  "crystal_system": "orthorhombic",
  "mass_density_g_cm3": 9.63,
  "lattice_angstrom": [[7.5260, 0.0000, 0.0000], [0.0000, 7.0477, 0.0000], [0.0000, 0.0000, 5.6703]],
  "species": ["Sm", "Sm", "Sm", "Sm", "Ge", "Ge", "Ge", "Ge", "Pd", "Pd", "Pd", "Pd", "Pd", "Pd", "Pd", "Pd"],
  "frac_coords": [[0.0311, 0.2500, 0.1484], [0.4689, 0.7500, 0.6484], [0.5311, 0.2500, 0.3516], [0.9689, 0.7500, 0.8516], [0.1223, 0.7500, 0.3517], [0.3777, 0.2500, 0.8517], [0.6223, 0.7500, 0.1483], [0.8777, 0.2500, 0.6483], [0.1789, 0.0520, 0.5884], [0.1789, 0.4480, 0.5884], [0.3211, 0.5520, 0.0884], [0.3211, 0.9480, 0.0884], [0.6789, 0.0520, 0.9116], [0.6789, 0.4480, 0.9116], [0.8211, 0.5520, 0.4116], [0.8211, 0.9480, 0.4116]]
}

Record 15
{
  "formula": "Eu5SiCl6O4",
  "functional": "meta-GGA r2SCAN",
  "state": "optimized geometry",
  "delta_e_f_ev_per_fu": -47.077,
  "sg": "C2/c",
  "crystal_system": "monoclinic",
  "mass_density_g_cm3": 5.27,
  "lattice_angstrom": [[4.4597, -6.9675, 0.0000], [4.4597, 6.9675, 0.0000], [-2.5735, 0.0000, 10.7984]],
  "species": ["Eu", "Eu", "Eu", "Eu", "Eu", "Eu", "Eu", "Eu", "Eu", "Eu", "Si", "Si", "Cl", "Cl", "Cl", "Cl", "Cl", "Cl", "Cl", "Cl", "Cl", "Cl", "Cl", "Cl", "O", "O", "O", "O", "O", "O", "O", "O"],
  "frac_coords": [[0.0726, 0.2306, 0.6316], [0.2002, 0.7998, 0.7500], [0.2306, 0.0726, 0.1316], [0.3168, 0.5754, 0.0189], [0.4246, 0.6832, 0.4811], [0.5754, 0.3168, 0.5189], [0.6832, 0.4246, 0.9811], [0.7694, 0.9274, 0.8684], [0.7998, 0.2002, 0.2500], [0.9274, 0.7694, 0.3684], [0.4222, 0.5778, 0.7500], [0.5778, 0.4222, 0.2500], [0.0000, 0.5000, 0.5000], [0.0186, 0.7195, 0.9523], [0.1451, 0.2059, 0.3604], [0.2059, 0.1451, 0.8604], [0.2457, 0.7543, 0.2500], [0.2805, 0.9814, 0.5477], [0.5000, 0.0000, 0.0000], [0.7195, 0.0186, 0.4523], [0.7543, 0.2457, 0.7500], [0.7941, 0.8549, 0.1396], [0.8549, 0.7941, 0.6396], [0.9814, 0.2805, 0.0477], [0.2223, 0.5192, 0.7874], [0.3994, 0.4370, 0.6254], [0.4370, 0.3994, 0.1254], [0.4808, 0.7777, 0.7126], [0.5192, 0.2223, 0.2874], [0.5630, 0.6006, 0.8746], [0.6006, 0.5630, 0.3746], [0.7777, 0.4808, 0.2126]]
}

Record 16
{
  "formula": "NpRh3",
  "functional": "meta-GGA r2SCAN",
  "state": "optimized geometry",
  "delta_e_f_ev_per_fu": -2.253,
  "sg": "Pm-3m",
  "crystal_system": "cubic",
  "mass_density_g_cm3": 14.02,
  "lattice_angstrom": [[4.0133, 0.0000, 0.0000], [0.0000, 4.0133, 0.0000], [0.0000, 0.0000, 4.0133]],
  "species": ["Np", "Rh", "Rh", "Rh"],
  "frac_coords": [[0.0000, 0.0000, 0.0000], [0.0000, 0.5000, 0.5000], [0.5000, 0.0000, 0.5000], [0.5000, 0.5000, 0.0000]]
}

Record 17
{
  "formula": "PrZnRh",
  "functional": "meta-GGA r2SCAN",
  "state": "optimized geometry",
  "delta_e_f_ev_per_fu": -1.972,
  "sg": "Pnma",
  "crystal_system": "orthorhombic",
  "mass_density_g_cm3": 8.46,
  "lattice_angstrom": [[7.3133, 0.0000, 0.0000], [0.0000, 4.0189, 0.0000], [0.0000, 0.0000, 16.5112]],
  "species": ["Pr", "Pr", "Pr", "Pr", "Pr", "Pr", "Pr", "Pr", "Zn", "Zn", "Zn", "Zn", "Zn", "Zn", "Zn", "Zn", "Rh", "Rh", "Rh", "Rh", "Rh", "Rh", "Rh", "Rh"],
  "frac_coords": [[0.0469, 0.2500, 0.2167], [0.1686, 0.2500, 0.4395], [0.3314, 0.7500, 0.9395], [0.4531, 0.7500, 0.7167], [0.5469, 0.2500, 0.2833], [0.6686, 0.2500, 0.0605], [0.8314, 0.7500, 0.5605], [0.9531, 0.7500, 0.7833], [0.0020, 0.7500, 0.0599], [0.1269, 0.2500, 0.6497], [0.3731, 0.7500, 0.1497], [0.4980, 0.2500, 0.5599], [0.5020, 0.7500, 0.4401], [0.6269, 0.2500, 0.8503], [0.8731, 0.7500, 0.3503], [0.9980, 0.2500, 0.9401], [0.2403, 0.2500, 0.0657], [0.2481, 0.2500, 0.8146], [0.2519, 0.7500, 0.3146], [0.2597, 0.7500, 0.5657], [0.7403, 0.2500, 0.4343], [0.7481, 0.2500, 0.6854], [0.7519, 0.7500, 0.1854], [0.7597, 0.7500, 0.9343]]
}

Number 1: magnetization 0.0 μB per cell, final energy -9.230 eV/atom. Number 2: magnetization 0.0 μB per cell, final energy -24.289 eV/atom. Number 3: magnetization 16.0 μB per cell, final energy -9.545 eV/atom. Number 4: magnetization 0.9 μB per cell, final energy -14.762 eV/atom. Number 5: magnetization 16.0 μB per cell, final energy -9.541 eV/atom. Number 6: magnetization 28.2 μB per cell, final energy -27.841 eV/atom. Number 7: magnetization 0.0 μB per cell, final energy -11.909 eV/atom. Number 8: magnetization 0.0 μB per cell, final energy -10.754 eV/atom. Number 9: magnetization 0.0 μB per cell, final energy -33.805 eV/atom. Number 10: magnetization 0.0 μB per cell, final energy -33.092 eV/atom. Number 11: magnetization 7.6 μB per cell, final energy -32.960 eV/atom. Number 12: magnetization 0.0 μB per cell, final energy -31.922 eV/atom. Number 13: magnetization 5.0 μB per cell, final energy -18.003 eV/atom. Number 14: magnetization 0.0 μB per cell, final energy -23.309 eV/atom. Number 15: magnetization 70.0 μB per cell, final energy -19.329 eV/atom. Number 16: magnetization 1.7 μB per cell, final energy -39.421 eV/atom. Number 17: magnetization 0.0 μB per cell, final energy -21.474 eV/atom.